Compound: Cs
Source: the Materials Project
Functional: PBE
Structure: optimized geometry

Results
The formation energy is 0.0422 eV per atom. The value obtained for the total magnetic moment is 0.0 Bohr magnetons per cell. The symmetry is C2/m, No. 12.

Lattice parameters (Å, degrees): 5.1101 5.2852 5.2852 69.67 73.27 106.73
Closest atoms and distances in Å follow each position.
Positions (direct):
Cs: 0.5000 0.0000 0.0000  8 Cs 5.11-5.61